No. 1
## PtCl2 (PBE-GGA)

Data for a relaxed PtCl2 crystal.

Results
- crystal system = trigonal

Unit cell a=8.6206 b=8.6206 c=8.6206 alpha=108.13 beta=108.13 gamma=108.13
With the nearest neighbours (Å) after each atom.
Sites, in units of the cell vectors:
Pt 0.1878 0.4290 0.4290  4 Cl 2.33
Pt 0.4290 0.1878 0.4290  4 Cl 2.33
Pt 0.4290 0.4290 0.1878  4 Cl 2.33
Pt 0.5710 0.5710 0.8122  4 Cl 2.33
Pt 0.5710 0.8122 0.5710  4 Cl 2.33
Pt 0.8122 0.5710 0.5710  4 Cl 2.33
Cl 0.1261 0.1261 0.3625  2 Pt 2.33
Cl 0.1261 0.3625 0.1261  2 Pt 2.33
Cl 0.2648 0.5000 0.7352  2 Pt 2.33
Cl 0.2648 0.7352 0.5000  2 Pt 2.33
Cl 0.3625 0.1261 0.1261  2 Pt 2.33
Cl 0.5000 0.2648 0.7352  2 Pt 2.33
Cl 0.5000 0.7352 0.2648  2 Pt 2.33
Cl 0.6375 0.8739 0.8739  2 Pt 2.33
Cl 0.7352 0.2648 0.5000  2 Pt 2.33
Cl 0.7352 0.5000 0.2648  2 Pt 2.33
Cl 0.8739 0.6375 0.8739  2 Pt 2.33
Cl 0.8739 0.8739 0.6375  2 Pt 2.33

---

No. 2
## K2CaZrH16C8O24 (PBE-GGA)

Data for a relaxed K2CaZrH16C8O24 crystal.

Results
- size of the total moment (μB/f.u.) = 0.00
- crystal system = tetragonal

Unit cell a=9.2971 b=9.2971 c=9.2971 alpha=103.82 beta=103.82 gamma=121.47
With the nearest neighbours (Å) after each atom.
Sites, in units of the cell vectors:
K 0.0000 0.0000 0.0000  8 O 2.86-2.96
K 0.7500 0.2500 0.5000  8 O 2.83-2.89
Ca 0.2500 0.7500 0.5000  8 O 2.42-2.55
Zr 0.5000 0.5000 0.0000  8 O 2.23-2.25
H 0.0214 0.0899 0.3925  1 O 0.98
H 0.0254 0.1627 0.6600  1 O 0.98
H 0.0479 0.6258 0.8956  1 O 0.99
H 0.1117 0.2694 0.3620  1 O 0.98
H 0.2502 0.8883 0.1577  1 O 0.98
H 0.3711 0.9786 0.0686  1 O 0.98
H 0.3742 0.2698 0.4221  1 O 0.99
H 0.5027 0.3653 0.3400  1 O 0.98
H 0.6347 0.9746 0.1373  1 O 0.98
H 0.6975 0.6289 0.6075  1 O 0.98
H 0.7302 0.1523 0.1044  1 O 0.99
H 0.7306 0.0925 0.8423  1 O 0.98
H 0.8373 0.4973 0.8627  1 O 0.98
H 0.8477 0.9521 0.5779  1 O 0.99
H 0.9075 0.7498 0.6380  1 O 0.98
H 0.9101 0.3025 0.9314  1 O 0.98
C 0.2698 0.5314 0.7250  2 O 1.24-1.30
C 0.3009 0.0821 0.7753  2 O 1.25-1.28
C 0.3068 0.5256 0.2247  2 O 1.25-1.28
C 0.4552 0.7302 0.2617  2 O 1.24-1.30
C 0.4686 0.1935 0.7383  2 O 1.24-1.30
C 0.4744 0.6991 0.7812  2 O 1.25-1.28
C 0.8065 0.5448 0.2750  2 O 1.24-1.30
C 0.9179 0.6932 0.2188  2 O 1.25-1.28
O 0.0930 0.7928 0.2850  1 C 1.25
O 0.1044 0.1572 0.3452  2 H 0.98
O 0.1429 0.5054 0.6121  1 C 1.24
O 0.1920 0.9070 0.6998  1 C 1.25
O 0.2072 0.4922 0.3002  1 C 1.25
O 0.2408 0.8956 0.0528  2 H 0.98
O 0.2507 0.4297 0.8039  1 C 1.30
O 0.2893 0.1845 0.8844  1 C 1.28
O 0.3001 0.4050 0.1156  1 C 1.28
O 0.4692 0.8571 0.3624  1 C 1.24
O 0.4947 0.1068 0.6376  1 C 1.24
O 0.5065 0.3555 0.4434  2 H 0.98-0.99
O 0.5078 0.8080 0.7150  1 C 1.25
O 0.5532 0.7493 0.1791  1 C 1.30
O 0.5703 0.3742 0.8209  1 C 1.30
O 0.5950 0.7107 0.8951  1 C 1.28
O 0.6258 0.4468 0.1961  1 C 1.30
O 0.6445 0.0879 0.1510  2 H 0.98-0.99
O 0.8120 0.7592 0.6548  2 H 0.98
O 0.8155 0.6999 0.1049  1 C 1.28
O 0.8428 0.1880 0.9472  2 H 0.98
O 0.8932 0.5308 0.3879  1 C 1.24
O 0.9121 0.0631 0.5566  2 H 0.98-0.99
O 0.9369 0.4935 0.8490  2 H 0.98-0.99

---

No. 3
## Rb16Er7Ti9P24O96 (PBE-GGA)

Data for a relaxed Rb16Er7Ti9P24O96 crystal.

Results
- size of the total moment (μB/f.u.) = 0.46
- crystal system = triclinic

Unit cell a=10.3240 b=10.3328 c=20.6395 alpha=89.96 beta=89.94 gamma=89.92
With the nearest neighbours (Å) after each atom.
Sites, in units of the cell vectors:
Rb 0.0000 0.0000 0.0000  5 O 2.95-3.22
Rb 0.0012 0.0012 0.4985  8 O 3.02-3.36
Rb 0.1377 0.3643 0.3607  9 O 2.98-3.31
Rb 0.1395 0.3615 0.8587  10 O 2.89-3.21
Rb 0.2771 0.8627 0.6807  10 O 2.96-3.29
Rb 0.2786 0.8644 0.1808  9 O 2.99-3.13
Rb 0.4144 0.5019 0.0422  8 O 3.02-3.36
Rb 0.4160 0.4999 0.5402  5 O 2.91-3.22
Rb 0.4998 0.0852 0.2917  7 O 3.02-3.38
Rb 0.5038 0.0829 0.7921  6 O 2.93-3.18
Rb 0.6369 0.7236 0.9281  8 O 2.95-3.20
Rb 0.6388 0.7222 0.4309  10 O 2.91-3.13
Rb 0.7769 0.2221 0.1101  10 O 2.92-3.12
Rb 0.7786 0.2232 0.6124  8 O 2.95-3.25
Rb 0.9122 0.5858 0.7484  6 O 2.93-3.18
Rb 0.9158 0.5855 0.2494  7 O 3.01-3.37
Er 0.1220 0.2104 0.1862  6 O 2.17-2.23
Er 0.2895 0.7067 0.8517  6 O 2.19-2.27
Er 0.2941 0.7101 0.3545  6 O 2.18-2.23
Er 0.5579 0.4381 0.7183  6 O 2.19-2.24
Er 0.6243 0.8764 0.1025  6 O 2.18-2.24
Er 0.7929 0.3758 0.4392  6 O 2.18-2.26
Er 0.8613 0.9397 0.8230  6 O 2.16-2.24
Ti 0.0630 0.6544 0.5717  6 O 1.95-2.06
Ti 0.0640 0.6481 0.0748  6 O 1.96-2.04
Ti 0.1232 0.2090 0.6888  6 O 1.97-2.12
Ti 0.3516 0.1474 0.4664  6 O 1.97-2.04
Ti 0.3517 0.1519 0.9688  6 O 1.94-2.04
Ti 0.5637 0.4365 0.2169  6 O 1.97-2.05
Ti 0.6217 0.8762 0.6033  6 O 1.93-2.07
Ti 0.7940 0.3755 0.9371  6 O 1.96-2.05
Ti 0.8521 0.9366 0.3235  6 O 1.98-2.07
P 0.0808 0.3389 0.0250  4 O 1.52-1.56
P 0.0926 0.3347 0.5327  4 O 1.53-1.56
P 0.1621 0.0300 0.3360  4 O 1.52-1.58
P 0.1734 0.0384 0.8341  4 O 1.54-1.58
P 0.2374 0.5231 0.7016  4 O 1.53-1.57
P 0.2538 0.5299 0.2050  4 O 1.53-1.58
P 0.3242 0.8384 0.0123  4 O 1.53-1.57
P 0.3354 0.8382 0.5155  4 O 1.52-1.56
P 0.4348 0.1609 0.6216  4 O 1.53-1.57
P 0.4436 0.1747 0.1241  4 O 1.53-1.58
P 0.4721 0.4104 0.3727  4 O 1.53-1.58
P 0.4799 0.4090 0.8801  4 O 1.54-1.56
P 0.5858 0.7579 0.7584  4 O 1.53-1.59
P 0.5906 0.7481 0.2632  4 O 1.53-1.58
P 0.6609 0.0530 0.4587  4 O 1.53-1.57
P 0.6635 0.0712 0.9572  4 O 1.52-1.57
P 0.7520 0.5726 0.5833  4 O 1.52-1.57
P 0.7548 0.5525 0.0821  4 O 1.53-1.57
P 0.8255 0.2484 0.2779  4 O 1.53-1.58
P 0.8374 0.2557 0.7796  4 O 1.53-1.58
P 0.9411 0.9162 0.6619  4 O 1.53-1.57
P 0.9445 0.9107 0.1683  4 O 1.52-1.58
P 0.9716 0.6586 0.9215  4 O 1.53-1.57
P 0.9725 0.6743 0.4164  4 O 1.52-1.57
O 0.0028 0.7914 0.1306  1 P 1.58
O 0.0069 0.8143 0.6159  1 P 1.57
O 0.0140 0.0285 0.3531  1 P 1.57
O 0.0198 0.0447 0.6552  1 P 1.56
O 0.0339 0.0258 0.1543  1 P 1.53
O 0.0340 0.0466 0.8600  1 P 1.54
O 0.0498 0.2875 0.0925  1 P 1.52
O 0.0729 0.2841 0.6034  1 P 1.56
O 0.1073 0.6293 0.8954  1 P 1.53
O 0.1090 0.6443 0.3928  1 P 1.52
O 0.1215 0.4843 0.0274  1 P 1.56
O 0.1247 0.4822 0.5314  1 P 1.56
O 0.1486 0.5895 0.6495  1 P 1.57
O 0.1779 0.5875 0.1452  1 P 1.58
O 0.1878 0.1212 0.7704  1 P 1.58
O 0.1889 0.1200 0.2784  1 P 1.53
O 0.1929 0.2577 0.9941  1 P 1.56
O 0.1986 0.3781 0.7113  1 P 1.56
O 0.2037 0.3940 0.2197  1 P 1.53
O 0.2053 0.2593 0.4994  1 P 1.56
O 0.2070 0.7624 0.0425  1 P 1.57
O 0.2123 0.8944 0.3214  1 P 1.52
O 0.2135 0.8983 0.8194  1 P 1.54
O 0.2140 0.5963 0.7656  1 P 1.54
O 0.2237 0.7564 0.5461  1 P 1.56
O 0.2270 0.6199 0.2626  1 P 1.53
O 0.2378 0.0878 0.3958  1 P 1.58
O 0.2660 0.0988 0.8864  1 P 1.57
O 0.2898 0.9868 0.0110  1 P 1.57
O 0.2940 0.9836 0.5138  1 P 1.56
O 0.2948 0.1413 0.6480  1 P 1.56
O 0.3071 0.1448 0.1481  1 P 1.53
O 0.3533 0.7901 0.9438  1 P 1.53
O 0.3663 0.7876 0.4480  1 P 1.52
O 0.3787 0.5331 0.6791  1 P 1.53
O 0.3830 0.5260 0.3866  1 P 1.53
O 0.4019 0.5283 0.1878  1 P 1.57
O 0.4046 0.5365 0.8902  1 P 1.54
O 0.4127 0.2919 0.4109  1 P 1.58
O 0.4151 0.3060 0.9252  1 P 1.56
O 0.4352 0.1990 0.5480  1 P 1.57
O 0.4394 0.2110 0.0504  1 P 1.57
O 0.4415 0.8126 0.0564  1 P 1.54
O 0.4547 0.7796 0.7927  1 P 1.54
O 0.4568 0.8186 0.5597  1 P 1.56
O 0.4700 0.3619 0.8095  1 P 1.54
O 0.4731 0.3780 0.2985  1 P 1.57
O 0.4755 0.7742 0.3084  1 P 1.53
O 0.5022 0.2930 0.1622  1 P 1.58
O 0.5035 0.2691 0.6584  1 P 1.53
O 0.5143 0.0697 0.9421  1 P 1.57
O 0.5146 0.0571 0.4386  1 P 1.57
O 0.5173 0.0351 0.6309  1 P 1.56
O 0.5326 0.0588 0.1373  1 P 1.53
O 0.5598 0.7978 0.1952  1 P 1.53
O 0.5706 0.8004 0.6849  1 P 1.59
O 0.6085 0.4383 0.3974  1 P 1.53
O 0.6243 0.4287 0.9007  1 P 1.56
O 0.6250 0.5999 0.2610  1 P 1.57
O 0.6280 0.6159 0.7640  1 P 1.53
O 0.6752 0.4922 0.1392  1 P 1.57
O 0.6768 0.9646 0.5196  1 P 1.56
O 0.6807 0.5066 0.6388  1 P 1.52
O 0.6879 0.8441 0.7899  1 P 1.53
O 0.6913 0.9958 0.0197  1 P 1.53
O 0.7022 0.7154 0.5740  1 P 1.57
O 0.7030 0.6874 0.0661  1 P 1.53
O 0.7076 0.3249 0.2481  1 P 1.58
O 0.7085 0.8247 0.2930  1 P 1.58
O 0.7122 0.1879 0.4744  1 P 1.53
O 0.7144 0.2133 0.9658  1 P 1.57
O 0.7254 0.4971 0.5208  1 P 1.53
O 0.7333 0.0060 0.9011  1 P 1.52
O 0.7380 0.4625 0.0219  1 P 1.56
O 0.7401 0.3459 0.7465  1 P 1.53
O 0.7400 0.9919 0.4019  1 P 1.56
O 0.7897 0.1162 0.7749  1 P 1.53
O 0.7912 0.1001 0.2800  1 P 1.57
O 0.7984 0.9375 0.6390  1 P 1.56
O 0.8083 0.9398 0.1440  1 P 1.52
O 0.8565 0.2974 0.3461  1 P 1.53
O 0.8567 0.3011 0.8517  1 P 1.57
O 0.8820 0.5371 0.9124  1 P 1.57
O 0.8844 0.5576 0.4036  1 P 1.53
O 0.9008 0.5565 0.1028  1 P 1.57
O 0.9007 0.5734 0.5993  1 P 1.57
O 0.9082 0.7702 0.8838  1 P 1.54
O 0.9134 0.7924 0.3786  1 P 1.57
O 0.9408 0.2743 0.2328  1 P 1.53
O 0.9434 0.8781 0.2426  1 P 1.57
O 0.9502 0.8650 0.7312  1 P 1.53
O 0.9598 0.3202 0.9806  1 P 1.56
O 0.9691 0.2686 0.7409  1 P 1.58
O 0.9689 0.3071 0.4940  1 P 1.53
O 0.9741 0.6984 0.9949  1 P 1.57
O 0.9762 0.7106 0.4902  1 P 1.57

---

No. 4
## TiCl3 (PBE-GGA)

Data for a relaxed TiCl3 crystal.

Results
- crystal system = hexagonal

Unit cell a=6.7372 b=6.7372 c=5.7215 alpha=90.00 beta=90.00 gamma=120.00
With the nearest neighbours (Å) after each atom.
Sites, in units of the cell vectors:
Ti 0.0000 0.0000 0.0000  6 Cl 2.41
Ti 0.0000 0.0000 0.5000  6 Cl 2.41
Cl 0.0000 0.2886 0.2500  2 Ti 2.41
Cl 0.0000 0.7114 0.7500  2 Ti 2.41
Cl 0.2886 0.0000 0.2500  2 Ti 2.41
Cl 0.2886 0.2886 0.7500  2 Ti 2.41
Cl 0.7114 0.0000 0.7500  2 Ti 2.41
Cl 0.7114 0.7114 0.2500  2 Ti 2.41

---

| no. | uncorrected energy (eV/f.u.) |
| --- | --- |
| 1 | -10.88 |
| 2 | -331.31 |
| 3 | -1126.43 |
| 4 | -19.88 |